MgMn6O10F2 | GGA+U | optimized geometry

The structure in CIF format:
```
data_MgMn6O10F2
_chemical_formula_sum 'Mg1 Mn6 O10 F2'
_cell_length_a 5.730
_cell_length_b 5.899
_cell_length_c 7.563
_cell_angle_alpha 106.82
_cell_angle_beta 98.65
_cell_angle_gamma 113.13
_space_group_name_H-M_alt 'P 1'
_space_group_IT_number 1
loop_
_space_group_symop_operation_xyz
'x,y,z'
loop_
_atom_site_label
_atom_site_type_symbol
_atom_site_fract_x
_atom_site_fract_y
_atom_site_fract_z
Mg1 Mg 0.000 0.000 0.000
Mn1 Mn 0.001 0.484 0.987
Mn2 Mn 0.338 0.514 0.338
Mn3 Mn 0.353 0.925 0.780
Mn4 Mn 0.630 0.060 0.205
Mn5 Mn 0.655 0.472 0.645
Mn6 Mn 0.988 0.038 0.523
O1 O 0.017 0.170 0.305
O2 O 0.251 0.376 0.057
O3 O 0.269 0.845 0.014
O4 O 0.364 0.156 0.638
O5 O 0.421 0.629 0.611
O6 O 0.570 0.357 0.372
O7 O 0.618 0.851 0.363
O8 O 0.716 0.142 0.976
O9 O 0.912 0.347 0.716
O10 O 0.967 0.833 0.697
F1 F 0.069 0.646 0.275
F2 F 0.739 0.631 0.948
```

Calculated values
E: -6.96 eV/atom
Energy above the most stable polymorph in this dataset: 19.7 meV/atom
DFT formation energy: -2.111 eV/atom
Size of the total moment: 22.0 μB/f.u.
Crystal system: triclinic

K6Mo7H18O35 | GGA+U | optimized geometry

The structure in CIF format:
```
data_K6Mo7H18O35
_chemical_formula_sum 'K24 Mo28 H72 O140'
_cell_length_a 20.302
_cell_length_b 19.650
_cell_length_c 8.704
_cell_angle_alpha 90.00
_cell_angle_beta 90.00
_cell_angle_gamma 90.00
_space_group_name_H-M_alt 'A m a 2'
_space_group_IT_number 40
loop_
_space_group_symop_operation_xyz
'x,y,z'
'-x,-y,z'
'-x+1/2,y,z'
'x+1/2,-y,z'
'x,y+1/2,z+1/2'
'-x,-y+1/2,z+1/2'
'-x+1/2,y+1/2,z+1/2'
'x+1/2,-y+1/2,z+1/2'
loop_
_atom_site_label
_atom_site_type_symbol
_atom_site_fract_x
_atom_site_fract_y
_atom_site_fract_z
K1 K 0.000 0.000 0.000
K2 K 0.047 0.211 0.884
K3 K 0.096 0.422 0.907
K4 K 0.250 0.368 0.173
Mo1 Mo 0.085 0.148 0.387
Mo2 Mo 0.167 0.278 0.514
Mo3 Mo 0.168 0.066 0.649
Mo4 Mo 0.250 0.144 0.337
H1 H 0.009 0.462 0.178
H2 H 0.045 0.361 0.212
H3 H 0.095 0.390 0.333
H4 H 0.131 0.267 0.152
H5 H 0.148 0.432 0.544
H6 H 0.153 0.008 0.098
H7 H 0.178 0.259 0.006
H8 H 0.250 0.175 0.890
H9 H 0.250 0.246 0.812
H10 H 0.250 0.416 0.763
H11 H 0.250 0.474 0.887
O1 O 0.000 0.000 0.608
O2 O 0.021 0.164 0.517
O3 O 0.035 0.091 0.234
O4 O 0.038 0.163 0.190
O5 O 0.048 0.393 0.299
O6 O 0.108 0.247 0.351
O7 O 0.112 0.059 0.464
O8 O 0.112 0.095 0.788
O9 O 0.115 0.287 0.671
O10 O 0.127 0.467 0.611
O11 O 0.140 0.286 0.048
O12 O 0.167 0.167 0.520
O13 O 0.171 0.362 0.436
O14 O 0.172 0.478 0.175
O15 O 0.179 0.129 0.220
O16 O 0.250 0.064 0.462
O17 O 0.250 0.097 0.746
O18 O 0.250 0.224 0.916
O19 O 0.250 0.241 0.354
O20 O 0.250 0.277 0.633
O21 O 0.250 0.424 0.874
```

Calculated values
E: -5.79 eV/atom
DFT formation energy: -1.691 eV/atom
Size of the total moment: 0.1 μB/f.u.
Crystal system: orthorhombic

Na3Li3Mn2P2C2O14 | GGA+U | optimized geometry

The structure in CIF format:
```
data_Na3Li3Mn2P2C2O14
_chemical_formula_sum 'Na6 Li6 Mn4 P4 C4 O28'
_cell_length_a 6.740
_cell_length_b 8.808
_cell_length_c 10.204
_cell_angle_alpha 91.18
_cell_angle_beta 90.22
_cell_angle_gamma 90.71
_space_group_name_H-M_alt 'P 1'
_space_group_IT_number 1
loop_
_space_group_symop_operation_xyz
'x,y,z'
loop_
_atom_site_label
_atom_site_type_symbol
_atom_site_fract_x
_atom_site_fract_y
_atom_site_fract_z
Na1 Na 0.000 0.000 0.000
Na2 Na 0.000 0.002 0.500
Na3 Na 0.000 0.494 0.246
Na4 Na 0.496 0.495 0.248
Na5 Na 0.743 0.664 0.503
Na6 Na 0.743 0.666 0.003
Li1 Li 0.266 0.845 0.250
Li2 Li 0.269 0.834 0.753
Li3 Li 0.471 0.021 0.014
Li4 Li 0.475 0.021 0.511
Li5 Li 0.529 0.474 0.738
Li6 Li 0.965 0.476 0.738
Mn1 Mn 0.247 0.389 0.005
Mn2 Mn 0.248 0.389 0.519
Mn3 Mn 0.741 0.100 0.740
Mn4 Mn 0.742 0.108 0.234
P1 P 0.250 0.155 0.270
P2 P 0.251 0.157 0.773
P3 P 0.741 0.336 0.973
P4 P 0.742 0.332 0.485
C1 C 0.259 0.704 0.491
C2 C 0.259 0.705 0.989
C3 C 0.746 0.810 0.259
C4 C 0.748 0.795 0.756
O1 O 0.058 0.068 0.735
O2 O 0.060 0.061 0.237
O3 O 0.245 0.600 0.898
O4 O 0.246 0.315 0.210
O5 O 0.248 0.596 0.400
O6 O 0.252 0.324 0.723
O7 O 0.253 0.669 0.613
O8 O 0.253 0.670 0.113
O9 O 0.273 0.166 0.925
O10 O 0.273 0.173 0.422
O11 O 0.276 0.844 0.453
O12 O 0.277 0.846 0.954
O13 O 0.422 0.060 0.714
O14 O 0.423 0.057 0.214
O15 O 0.563 0.432 0.019
O16 O 0.564 0.430 0.534
O17 O 0.730 0.168 0.536
O18 O 0.730 0.171 0.024
O19 O 0.737 0.898 0.362
O20 O 0.742 0.329 0.818
O21 O 0.743 0.880 0.862
O22 O 0.745 0.325 0.332
O23 O 0.748 0.870 0.143
O24 O 0.749 0.647 0.763
O25 O 0.750 0.861 0.643
O26 O 0.752 0.663 0.270
O27 O 0.931 0.419 0.537
O28 O 0.931 0.422 0.020
```

Calculated values
E: -6.75 eV/atom
Energy above the most stable polymorph in this dataset: 9.1 meV/atom
DFT formation energy: -2.384 eV/atom
Size of the total moment: 10.0 μB/f.u.
Crystal system: triclinic

Li4Ti3Ni3Sb2O16 | GGA+U | optimized geometry

The structure in CIF format:
```
data_Li4Ti3Ni3Sb2O16
_chemical_formula_sum 'Li8 Ti6 Ni6 Sb4 O32'
_cell_length_a 10.381
_cell_length_b 5.965
_cell_length_c 9.705
_cell_angle_alpha 90.00
_cell_angle_beta 90.60
_cell_angle_gamma 90.00
_space_group_name_H-M_alt 'C 1 m 1'
_space_group_IT_number 8
loop_
_space_group_symop_operation_xyz
'x,y,z'
'x,-y,z'
'x+1/2,y+1/2,z'
'x+1/2,-y+1/2,z'
loop_
_atom_site_label
_atom_site_type_symbol
_atom_site_fract_x
_atom_site_fract_y
_atom_site_fract_z
Li1 Li 0.000 0.000 0.000
Li2 Li 0.007 0.000 0.514
Li3 Li 0.167 0.500 0.088
Li4 Li 0.336 0.000 0.600
Ti1 Ti 0.326 0.500 0.778
Ti2 Ti 0.412 0.247 0.281
Ni1 Ni 0.085 0.257 0.784
Ni2 Ni 0.171 0.000 0.284
Sb1 Sb 0.157 0.500 0.513
Sb2 Sb 0.327 0.000 0.001
O1 O 0.016 0.500 0.647
O2 O 0.077 0.253 0.396
O3 O 0.162 0.000 0.907
O4 O 0.180 0.500 0.892
O5 O 0.246 0.281 0.642
O6 O 0.267 0.225 0.153
O7 O 0.327 0.500 0.390
O8 O 0.346 0.000 0.390
O9 O 0.410 0.249 0.900
O10 O 0.479 0.000 0.156
O11 O 0.491 0.500 0.698
O12 O 0.494 0.500 0.192
```

Calculated values
E: -6.59 eV/atom
DFT formation energy: -2.390 eV/atom
Size of the total moment: 6.0 μB/f.u.
Crystal system: monoclinic

Na2FeSiCO7 | GGA+U | optimized geometry

The structure in CIF format:
```
data_Na2FeSiCO7
_chemical_formula_sum 'Na4 Fe2 Si2 C2 O14'
_cell_length_a 5.293
_cell_length_b 6.511
_cell_length_c 9.211
_cell_angle_alpha 90.00
_cell_angle_beta 90.69
_cell_angle_gamma 90.00
_space_group_name_H-M_alt 'P 1 21/m 1'
_space_group_IT_number 11
loop_
_space_group_symop_operation_xyz
'x,y,z'
'-x,-y,-z'
'-x,y+1/2,-z'
'x,-y+1/2,z'
loop_
_atom_site_label
_atom_site_type_symbol
_atom_site_fract_x
_atom_site_fract_y
_atom_site_fract_z
Na1 Na 0.236 0.006 0.263
Fe1 Fe 0.209 0.250 0.861
Si1 Si 0.293 0.750 0.931
C1 C 0.275 0.250 0.577
O1 O 0.059 0.250 0.644
O2 O 0.147 0.750 0.086
O3 O 0.220 0.548 0.832
O4 O 0.285 0.250 0.440
O5 O 0.396 0.250 0.038
O6 O 0.472 0.250 0.662
```

Calculated values
E: -6.61 eV/atom
DFT formation energy: -2.166 eV/atom
Size of the total moment: 4.0 μB/f.u.
Crystal system: monoclinic

Li4Mn2Ni3SnP6O24 | GGA+U | optimized geometry

The structure in CIF format:
```
data_Li4Mn2Ni3SnP6O24
_chemical_formula_sum 'Li4 Mn2 Ni3 Sn1 P6 O24'
_cell_length_a 8.606
_cell_length_b 8.690
_cell_length_c 8.696
_cell_angle_alpha 61.24
_cell_angle_beta 61.64
_cell_angle_gamma 61.55
_space_group_name_H-M_alt 'P 1'
_space_group_IT_number 1
loop_
_space_group_symop_operation_xyz
'x,y,z'
loop_
_atom_site_label
_atom_site_type_symbol
_atom_site_fract_x
_atom_site_fract_y
_atom_site_fract_z
Li1 Li 0.000 0.000 0.000
Li2 Li 0.101 0.959 0.488
Li3 Li 0.205 0.471 0.326
Li4 Li 0.536 0.675 0.793
Mn1 Mn 0.359 0.817 0.135
Mn2 Mn 0.826 0.316 0.634
Ni1 Ni 0.200 0.663 0.986
Ni2 Ni 0.485 0.967 0.284
Ni3 Ni 0.704 0.169 0.486
Sn1 Sn 0.989 0.464 0.789
P1 P 0.097 0.267 0.192
P2 P 0.293 0.066 0.677
P3 P 0.398 0.566 0.587
P4 P 0.595 0.360 0.095
P5 P 0.791 0.870 0.893
P6 P 0.899 0.780 0.390
O1 O 0.033 0.306 0.033
O2 O 0.082 0.766 0.216
O3 O 0.084 0.209 0.740
O4 O 0.158 0.422 0.158
O5 O 0.239 0.497 0.632
O6 O 0.249 0.073 0.205
O7 O 0.286 0.021 0.530
O8 O 0.298 0.896 0.864
O9 O 0.369 0.621 0.745
O10 O 0.386 0.736 0.407
O11 O 0.427 0.550 0.090
O12 O 0.448 0.138 0.613
O13 O 0.544 0.206 0.117
O14 O 0.588 0.413 0.558
O15 O 0.603 0.882 0.049
O16 O 0.680 0.320 0.232
O17 O 0.723 0.826 0.357
O18 O 0.734 0.415 0.881
O19 O 0.785 0.054 0.727
O20 O 0.826 0.711 0.831
O21 O 0.895 0.912 0.460
O22 O 0.941 0.567 0.531
O23 O 0.944 0.241 0.385
O24 O 0.952 0.831 0.952
```

Calculated values
E: -6.66 eV/atom
DFT formation energy: -2.382 eV/atom
Size of the total moment: 16.0 μB/f.u.
Crystal system: triclinic

Among the records above, which one has the highest DFT formation energy?
K6Mo7H18O35

What is the DFT formation energy in the fifth record?
-2.166 eV/atom